No. 1
DFT (PBE-GGA) results for crystalline K2Na5Al7Si5O24 at its relaxed geometry.

Computed properties:
The calculation puts the total magnetic moment at 0.00 Bohr magnetons per cell. As for the space group: P1 (1). As for the volume: 1968 Å³/cell. The total energy is -587.17 eV/cell. The energy of formation is -3.00 eV per atom. The calculated density is 1.53 g/cm3.

Lattice parameters (Å, degrees): 12.1960 12.7027 12.7063 89.77 89.70 89.77
Closest atoms and distances in Å follow each position.
Fractional coordinates of all 86 atoms:
K (0.0000, 0.0000, 0.0000)  2 O 2.39-2.58
K (0.0023, 0.6008, 0.6108)  3 O 2.39-2.62
K (0.0059, 0.6048, 0.3771)  2 O 2.48
K (0.0080, 0.2335, 0.9994)  2 O 2.46-2.50
Na (0.3002, 0.4243, 0.1848)  3 O 2.15-2.37
Na (0.3092, 0.1236, 0.7936)  4 O 2.24-2.45
Na (0.3095, 0.8118, 0.4769)  4 O 2.26-2.44
Na (0.3104, 0.8228, 0.1646)  3 O 2.16-2.35
Na (0.3130, 0.4367, 0.7814)  3 O 2.14-2.39
Na (0.3274, 0.8066, 0.7970)  3 O 2.15-2.35
Na (0.6809, 0.8176, 0.7757)  3 O 2.17-2.35
Na (0.6853, 0.8337, 0.1748)  3 O 2.25-2.41
Na (0.6957, 0.4137, 0.1814)  3 O 2.27-2.35
Na (0.6962, 0.4304, 0.7718)  3 O 2.20-2.35
Al (0.1311, 0.6164, 0.1617)  4 O 1.71-1.81
Al (0.1353, 0.4464, 0.9823)  4 O 1.71-1.80
Al (0.1355, 0.7947, 0.9894)  4 O 1.74-1.77
Al (0.1397, 0.6253, 0.8134)  4 O 1.74-1.77
Al (0.3115, 0.6208, 0.3497)  4 O 1.73-1.82
Al (0.3140, 0.9934, 0.9844)  4 O 1.73-1.81
Al (0.3146, 0.2532, 0.9845)  4 O 1.72-1.86
Al (0.3165, 0.6209, 0.6091)  4 O 1.72-1.84
Al (0.5061, 0.8035, 0.3458)  4 O 1.76-1.80
Al (0.5096, 0.9932, 0.7971)  4 O 1.76-1.80
Al (0.6839, 0.2517, 0.9802)  4 O 1.75-1.79
Al (0.6900, 0.6128, 0.6008)  4 O 1.73-1.78
Al (0.8533, 0.7920, 0.9843)  4 O 1.72-1.81
Al (0.8564, 0.6237, 0.8107)  4 O 1.72-1.81
Si (0.5001, 0.2506, 0.1684)  4 O 1.63-1.68
Si (0.4995, 0.4328, 0.3538)  4 O 1.62-1.67
Si (0.5015, 0.4317, 0.6026)  4 O 1.62-1.67
Si (0.5036, 0.0025, 0.1672)  4 O 1.62-1.66
Si (0.5051, 0.2554, 0.7948)  4 O 1.64-1.68
Si (0.5099, 0.8041, 0.6067)  4 O 1.63-1.66
Si (0.6831, 0.6121, 0.3469)  4 O 1.61-1.69
Si (0.6898, 0.9989, 0.9826)  4 O 1.63-1.67
Si (0.8562, 0.6170, 0.1566)  4 O 1.60-1.67
Si (0.8596, 0.4456, 0.9816)  4 O 1.61-1.68
O (0.1688, 0.5010, 0.1013)  2 Al 1.72
O (0.1744, 0.7320, 0.1060)  2 Al 1.71-1.75
O (0.1830, 0.5074, 0.8707)  2 Al 1.71-1.74
O (0.1871, 0.6034, 0.2879)  2 Al 1.73-1.75
O (0.1883, 0.7373, 0.8756)  2 Al 1.74
O (0.1917, 0.3195, 0.9853)  2 Al 1.72-1.75
O (0.1956, 0.9210, 0.0014)  2 Al 1.73-1.77
O (0.2007, 0.6195, 0.6866)  2 Al 1.72-1.77
O (0.2747, 0.6373, 0.4806)  2 Al 1.72-1.73
O (0.2759, 0.1241, 0.9674)  2 Al 1.72-1.74
O (0.3812, 0.7414, 0.3163)  2 Al 1.76-1.80
O (0.3858, 0.9647, 0.8630)  2 Al 1.76-1.81
O (0.3896, 0.2798, 0.1031)  1 Si 1.63, 1 Al 1.80
O (0.3923, 0.2842, 0.8621)  1 Si 1.66
O (0.3925, 0.5007, 0.6285)  1 Si 1.62, 1 Al 1.80
O (0.3923, 0.5026, 0.3261)  1 Si 1.62
O (0.3929, 0.9756, 0.1031)  1 Si 1.62, 1 Al 1.81
O (0.3940, 0.7419, 0.6358)  1 Si 1.66, 1 Al 1.84
O (0.5008, 0.3287, 0.6846)  2 Si 1.67-1.68
O (0.5017, 0.1307, 0.7630)  1 Si 1.64, 1 Al 1.80
O (0.5015, 0.8391, 0.4814)  1 Si 1.65, 1 Al 1.78
O (0.5040, 0.1268, 0.2081)  2 Si 1.65-1.66
O (0.5037, 0.3291, 0.2745)  2 Si 1.66-1.68
O (0.5038, 0.3929, 0.4771)  2 Si 1.65-1.67
O (0.5211, 0.9047, 0.6880)  1 Si 1.65, 1 Al 1.79
O (0.5212, 0.9177, 0.2634)  1 Si 1.64, 1 Al 1.80
O (0.6092, 0.2787, 0.0983)  1 Si 1.64, 1 Al 1.79
O (0.6120, 0.5013, 0.3233)  2 Si 1.67-1.69
O (0.6115, 0.9834, 0.0899)  2 Si 1.66-1.67
O (0.6130, 0.4963, 0.6268)  1 Si 1.62, 1 Al 1.78
O (0.6150, 0.2884, 0.8614)  1 Si 1.64, 1 Al 1.79
O (0.6160, 0.7287, 0.6298)  1 Si 1.63, 1 Al 1.76
O (0.6186, 0.7191, 0.3120)  1 Si 1.63, 1 Al 1.79
O (0.6252, 0.9639, 0.8759)  1 Si 1.64, 1 Al 1.77
O (0.7264, 0.6119, 0.4665)  1 Si 1.61, 1 Al 1.76
O (0.7293, 0.1211, 0.9764)  1 Si 1.63, 1 Al 1.75
O (0.7927, 0.5976, 0.2716)  2 Si 1.65-1.67
O (0.7936, 0.9211, 0.0038)  1 Si 1.63, 1 Al 1.81
O (0.7979, 0.7332, 0.8733)  2 Al 1.74-1.75
O (0.8015, 0.3294, 0.9935)  1 Si 1.65, 1 Al 1.75
O (0.8031, 0.6044, 0.6822)  2 Al 1.73-1.78
O (0.8082, 0.7226, 0.1017)  1 Si 1.62
O (0.8119, 0.5067, 0.8797)  1 Si 1.62, 1 Al 1.81
O (0.8205, 0.5099, 0.0905)  2 Si 1.66-1.68
O (0.9842, 0.6177, 0.1838)  1 Si 1.60
O (0.9897, 0.4259, 0.9808)  1 Si 1.61, 1 Al 1.80
O (0.9923, 0.8128, 0.9867)  2 Al 1.72-1.76
O (0.9969, 0.6266, 0.7973)  2 Al 1.72-1.75


No. 2
DFT (PBE-GGA) results for crystalline K6Na3AlSb4 at its relaxed geometry.

Computed properties:
The calculation puts the total magnetic moment at 0.00 Bohr magnetons per cell. As for the space group: P6_3/mmc (194). As for the volume: 972 Å³/cell. The total energy is -74.14 eV/cell. The energy of formation is -0.50 eV per atom. The calculated density is 2.79 g/cm3.

Lattice parameters (Å, degrees): 10.2918 10.2918 10.5955 90.00 90.00 120.00
Closest atoms and distances in Å follow each position.
Fractional coordinates of all 28 atoms:
K (0.2074, 0.4148, 0.0421)  3 Na 3.50-3.89, 3 Sb 3.66-3.72, 4 K 3.80-3.89, 1 Al 3.82
K (0.2074, 0.4148, 0.4579)  3 Na 3.50-3.89, 3 Sb 3.66-3.72, 4 K 3.80-3.89, 1 Al 3.82
K (0.2074, 0.7926, 0.0421)  3 Na 3.50-3.89, 3 Sb 3.66-3.72, 4 K 3.80-3.89, 1 Al 3.82
K (0.2074, 0.7926, 0.4579)  3 Na 3.50-3.89, 3 Sb 3.66-3.72, 4 K 3.80-3.89, 1 Al 3.82
K (0.4148, 0.2074, 0.5421)  3 Na 3.50-3.89, 3 Sb 3.66-3.72, 4 K 3.80-3.89, 1 Al 3.82
K (0.4148, 0.2074, 0.9579)  3 Na 3.50-3.89, 3 Sb 3.66-3.72, 4 K 3.80-3.89, 1 Al 3.82
K (0.5852, 0.7926, 0.0421)  3 Na 3.50-3.89, 3 Sb 3.66-3.72, 4 K 3.80-3.89, 1 Al 3.82
K (0.5852, 0.7926, 0.4579)  3 Na 3.50-3.89, 3 Sb 3.66-3.72, 4 K 3.80-3.89, 1 Al 3.82
K (0.7926, 0.2074, 0.5421)  3 Na 3.50-3.89, 3 Sb 3.66-3.72, 4 K 3.80-3.89, 1 Al 3.82
K (0.7926, 0.2074, 0.9579)  3 Na 3.50-3.89, 3 Sb 3.66-3.72, 4 K 3.80-3.89, 1 Al 3.82
K (0.7926, 0.5852, 0.5421)  3 Na 3.50-3.89, 3 Sb 3.66-3.72, 4 K 3.80-3.89, 1 Al 3.82
K (0.7926, 0.5852, 0.9579)  3 Na 3.50-3.89, 3 Sb 3.66-3.72, 4 K 3.80-3.89, 1 Al 3.82
Na (0.1159, 0.2318, 0.7500)  4 Sb 3.36-3.43, 2 K 3.50, 2 Na 3.58
Na (0.1159, 0.8841, 0.7500)  4 Sb 3.36-3.43, 2 K 3.50, 2 Na 3.58
Na (0.2318, 0.1159, 0.2500)  4 Sb 3.36-3.43, 2 K 3.50, 2 Na 3.58
Na (0.7682, 0.8841, 0.7500)  4 Sb 3.36-3.43, 2 K 3.50, 2 Na 3.58
Na (0.8841, 0.1159, 0.2500)  4 Sb 3.36-3.43, 2 K 3.50, 2 Na 3.58
Na (0.8841, 0.7682, 0.2500)  4 Sb 3.36-3.43, 2 K 3.50, 2 Na 3.58
Al (0.3333, 0.6667, 0.7500)  3 Sb 2.64
Al (0.6667, 0.3333, 0.2500)  3 Sb 2.64
Sb (0.0000, 0.0000, 0.0000)  6 Na 3.36, 6 K 3.72
Sb (0.0000, 0.0000, 0.5000)  6 Na 3.36, 6 K 3.72
Sb (0.0368, 0.5184, 0.7500)  1 Al 2.64
Sb (0.4816, 0.5184, 0.7500)  1 Al 2.64
Sb (0.4816, 0.9632, 0.7500)  1 Al 2.64
Sb (0.5184, 0.0368, 0.2500)  1 Al 2.64
Sb (0.5184, 0.4816, 0.2500)  1 Al 2.64
Sb (0.9632, 0.4816, 0.2500)  1 Al 2.64


No. 3
DFT (PBE-GGA) results for crystalline KAlO3 at its relaxed geometry.

Computed properties:
The calculation puts the total magnetic moment at 2.00 Bohr magnetons per cell. As for the space group: Pm-3m (221). As for the volume: 58 Å³/cell. The total energy is -27.94 eV/cell. The energy of formation is -2.06 eV per atom. The calculated density is 3.28 g/cm3.

Lattice parameters (Å, degrees): 3.8670 3.8670 3.8670 90.00 90.00 90.00
Closest atoms and distances in Å follow each position.
Fractional coordinates of all 5 atoms:
K (0.0000, 0.0000, 0.0000)  12 O 2.73
Al (0.5000, 0.5000, 0.5000)  6 O 1.93
O (0.0000, 0.5000, 0.5000)  2 Al 1.93
O (0.5000, 0.0000, 0.5000)  2 Al 1.93
O (0.5000, 0.5000, 0.0000)  2 Al 1.93


No. 4
DFT (PBE-GGA) results for crystalline KAl9O14 at its relaxed geometry.

Computed properties:
The calculation puts the total magnetic moment at 0.00 Bohr magnetons per cell. As for the space group: P2_1/c (14). As for the volume: 535 Å³/cell. The total energy is -350.00 eV/cell. The energy of formation is -3.36 eV per atom. The calculated density is 3.14 g/cm3.

Lattice parameters (Å, degrees): 8.2782 7.7565 9.7899 90.00 121.73 90.00
Closest atoms and distances in Å follow each position.
Fractional coordinates of all 48 atoms:
K (0.0000, 0.0000, 0.0000)  8 O 2.87-2.99, 2 Al 3.19
K (0.0000, 0.5000, 0.5000)  8 O 2.87-2.99, 2 Al 3.19
Al (0.1741, 0.0022, 0.6713)  6 O 1.90-1.98
Al (0.1741, 0.4978, 0.1713)  6 O 1.90-1.98
Al (0.1763, 0.1892, 0.4071)  4 O 1.78-1.88
Al (0.1763, 0.3108, 0.9071)  4 O 1.78-1.88
Al (0.2292, 0.6656, 0.8784)  4 O 1.75-1.82
Al (0.2292, 0.8344, 0.3784)  4 O 1.75-1.82
Al (0.4343, 0.1774, 0.2785)  4 O 1.75-1.84
Al (0.4343, 0.3226, 0.7785)  4 O 1.75-1.84
Al (0.5000, 0.0000, 0.0000)  6 O 1.94-1.96
Al (0.5000, 0.5000, 0.5000)  6 O 1.94-1.96
Al (0.5657, 0.6774, 0.2215)  4 O 1.75-1.84
Al (0.5657, 0.8226, 0.7215)  4 O 1.75-1.84
Al (0.7708, 0.1656, 0.6216)  4 O 1.75-1.82
Al (0.7708, 0.3344, 0.1216)  4 O 1.75-1.82
Al (0.8237, 0.6892, 0.0929)  4 O 1.78-1.88
Al (0.8237, 0.8108, 0.5929)  4 O 1.78-1.88
Al (0.8259, 0.5022, 0.8287)  6 O 1.90-1.98
Al (0.8259, 0.9978, 0.3287)  6 O 1.90-1.98
O (0.0792, 0.7073, 0.2101)  3 Al 1.75-1.93
O (0.0792, 0.7927, 0.7101)  3 Al 1.75-1.93
O (0.0954, 0.5634, 0.9490)  3 Al 1.77-1.98
O (0.0954, 0.9366, 0.4490)  3 Al 1.77-1.98
O (0.2459, 0.1023, 0.8740)  3 Al 1.80-1.96
O (0.2459, 0.3977, 0.3740)  3 Al 1.80-1.96
O (0.2546, 0.2055, 0.6143)  3 Al 1.76-1.91
O (0.2546, 0.2945, 0.1143)  3 Al 1.76-1.91
O (0.2935, 0.0417, 0.3319)  3 Al 1.82-1.88
O (0.2935, 0.4583, 0.8319)  3 Al 1.82-1.88
O (0.4068, 0.7135, 0.5384)  3 Al 1.75-1.95
O (0.4068, 0.7865, 0.0384)  3 Al 1.75-1.95
O (0.4276, 0.5831, 0.2887)  3 Al 1.75-1.94
O (0.4276, 0.9169, 0.7887)  3 Al 1.75-1.94
O (0.5724, 0.0831, 0.2113)  3 Al 1.75-1.94
O (0.5724, 0.4169, 0.7113)  3 Al 1.75-1.94
O (0.5932, 0.2135, 0.9616)  3 Al 1.75-1.95
O (0.5932, 0.2865, 0.4616)  3 Al 1.75-1.95
O (0.7065, 0.5417, 0.1681)  3 Al 1.82-1.88
O (0.7065, 0.9583, 0.6681)  3 Al 1.82-1.88
O (0.7454, 0.7055, 0.8857)  3 Al 1.76-1.91
O (0.7454, 0.7945, 0.3857)  3 Al 1.76-1.91
O (0.7541, 0.6023, 0.6260)  3 Al 1.80-1.96
O (0.7541, 0.8977, 0.1260)  3 Al 1.80-1.96
O (0.9046, 0.0634, 0.5510)  3 Al 1.77-1.98
O (0.9046, 0.4366, 0.0510)  3 Al 1.77-1.98
O (0.9208, 0.2073, 0.2899)  3 Al 1.75-1.93
O (0.9208, 0.2927, 0.7899)  3 Al 1.75-1.93